NdY3: optimized geometry, PBE-GGA.

Structure (POSCAR):
```
NdY3
1.0
3.665 -6.348 0.000
3.665 6.348 0.000
0.000 0.000 5.816
Nd Y
2 6
Direct
0.667 0.333 0.250
0.333 0.667 0.750
0.834 0.166 0.750
0.332 0.166 0.750
0.834 0.668 0.750
0.166 0.834 0.250
0.668 0.834 0.250
0.166 0.332 0.250
```

Computed properties:
Formation energy from the elements (eV per atom): 0.0134
E_tot (eV per atom): -6.029